[1]
# AlSiNi2, relaxed, DFT r2SCAN
data_AlSiNi2
_chemical_formula_sum 'Al2 Si2 Ni4'
_cell_length_a 4.480
_cell_length_b 4.530
_cell_length_c 4.510
_cell_angle_alpha 90.00
_cell_angle_beta 91.80
_cell_angle_gamma 90.00
_symmetry_space_group_name_H-M 'P 1 21 1'
_symmetry_Int_Tables_number 4
loop_
_symmetry_equiv_pos_as_xyz
'x,y,z'
'-x,y+1/2,-z'
loop_
_atom_site_label
_atom_site_type_symbol
_atom_site_fract_x
_atom_site_fract_y
_atom_site_fract_z
Al1 Al 0.095 0.000 0.153
Si1 Si 0.399 0.195 0.660
Ni1 Ni 0.112 0.498 0.360
Ni2 Ni 0.405 0.707 0.842
# - volume (Å³/cell) = 91
# - final energy (eV/atom) = -10.440

=====

[2]
# Ba4NbFeO8, relaxed, DFT r2SCAN
data_Ba4NbFeO8
_chemical_formula_sum 'Ba16 Nb4 Fe4 O32'
_cell_length_a 7.590
_cell_length_b 6.056
_cell_length_c 21.065
_cell_angle_alpha 90.00
_cell_angle_beta 97.96
_cell_angle_gamma 90.00
_symmetry_space_group_name_H-M 'P 1 21/c 1'
_symmetry_Int_Tables_number 14
loop_
_symmetry_equiv_pos_as_xyz
'x,y,z'
'-x,-y,-z'
'-x,y+1/2,-z+1/2'
'x,-y+1/2,z+1/2'
loop_
_atom_site_label
_atom_site_type_symbol
_atom_site_fract_x
_atom_site_fract_y
_atom_site_fract_z
Ba1 Ba 0.013 0.243 0.362
Ba2 Ba 0.201 0.227 0.048
Ba3 Ba 0.351 0.724 0.289
Ba4 Ba 0.466 0.738 0.097
Nb1 Nb 0.157 0.237 0.212
Fe1 Fe 0.234 0.723 0.941
O1 O 0.001 0.501 0.752
O2 O 0.050 0.727 0.368
O3 O 0.154 0.699 0.519
O4 O 0.261 0.082 0.445
O5 O 0.277 0.031 0.669
O6 O 0.287 0.005 0.177
O7 O 0.312 0.241 0.793
O8 O 0.442 0.656 0.419
# - volume (Å³/cell) = 959
# - final energy (eV/atom) = -16.562

=====

[3]
# NpSnIr, relaxed, DFT r2SCAN
data_NpSnIr
_chemical_formula_sum 'Np3 Sn3 Ir3'
_cell_length_a 7.3922
_cell_length_b 7.3922
_cell_length_c 4.0908
_cell_angle_alpha 90.00
_cell_angle_beta 90.00
_cell_angle_gamma 120.00
_symmetry_space_group_name_H-M 'P -6 2 m'
_symmetry_Int_Tables_number 189
_symmetry_space_group_name_Hall 'P -6 -2'
loop_
_atom_site_label
_atom_site_type_symbol
_atom_site_fract_x
_atom_site_fract_y
_atom_site_fract_z
Np1 Np 0.0000 0.5831 0.0000
Sn1 Sn 0.0000 0.2521 0.5000
Ir1 Ir 0.0000 0.0000 0.0000
Ir2 Ir 0.3333 0.6667 0.5000
# - volume (Å³/cell) = 194
# - final energy (eV/atom) = -54.148